# 1
ZrAlCu GGA-PBE relaxed; DFT formation energy = -1.2 eV/f.u.
1.0
-2.583 2.637 3.627
2.583 -2.637 3.627
2.583 2.637 -3.627
Zr Al Cu
2 2 2
direct
0.375 0.125 0.250
0.625 0.875 0.750
0.000 0.500 0.500
0.500 0.500 0.000
0.000 0.000 0.500
0.000 0.500 0.000

# 2
DyAl3 GGA-PBE relaxed; DFT formation energy = -1.7 eV/f.u.
1.0
6.266 0.000 0.000
-3.133 5.427 0.000
0.000 0.000 4.628
Dy Al
2 6
direct
0.333 0.667 0.250
0.667 0.333 0.750
0.147 0.294 0.750
0.147 0.853 0.750
0.294 0.147 0.250
0.706 0.853 0.750
0.853 0.147 0.250
0.853 0.706 0.250